Te5Pd21 PBE-GGA relaxed; magnetization = 0.01 μB per formula unit; formation enthalpy at 0 K = -0.005 eV per atom
1.0
0.000 6.281 6.281
6.281 0.000 6.281
6.281 6.281 0.000
Pd Te
21 5
Cartesian
10.999 7.843 7.843
7.843 7.843 10.999
6.281 3.112 6.281
7.908 4.653 7.908
9.449 6.281 6.281
9.421 9.421 12.547
6.295 9.421 9.421
0.000 0.000 0.000
4.653 7.908 7.908
6.281 6.281 9.449
6.281 6.281 3.112
12.547 9.421 9.421
3.112 6.281 6.281
9.421 12.547 9.421
6.281 9.449 6.281
10.999 10.999 10.999
9.421 6.295 9.421
9.421 9.421 6.295
4.653 4.653 4.653
7.843 10.999 7.843
7.908 7.908 4.653
3.140 3.140 3.140
7.854 7.854 7.854
4.707 4.707 7.854
7.854 4.707 4.707
4.707 7.854 4.707